Entry from Materials Project: an optimized crystal structure of Na2Hf3Mg5S12O48 (PBE-GGA).

Values from the calculation:
- ΔE_f (eV per atom) = -2.43
- calculated volume (Å³/atom) = 14.35
- magnetic moment (μB per cell) = 0.0
- uncorrected energy (eV per atom) = -6.6420

Unit cell a=17.501 b=8.750 c=22.725 alpha=90.04 beta=89.97 gamma=120.02
Sites, in units of the cell vectors:
O 0.755 0.643 0.574
O 0.562 0.485 0.864
O 0.733 0.160 0.244
O 0.256 0.644 0.574
O 0.179 0.490 0.075
O 0.769 0.846 0.469
O 0.578 0.467 0.259
O 0.742 0.362 0.136
O 0.078 0.692 0.760
O 0.424 0.303 0.530
O 0.678 0.868 0.574
O 0.939 0.513 0.136
O 0.246 0.135 0.925
O 0.588 0.203 0.408
O 0.755 0.867 0.074
O 0.399 0.975 0.407
O 0.400 0.827 0.912
O 0.244 0.362 0.136
O 0.420 0.531 0.743
O 0.012 0.204 0.197
O 0.756 0.637 0.864
O 0.512 0.819 0.698
O 0.818 0.123 0.136
O 0.350 0.546 0.530
O 0.990 0.801 0.093
O 0.321 0.508 0.925
O 0.746 0.134 0.924
O 0.318 0.513 0.636
O 0.758 0.876 0.364
O 0.323 0.137 0.423
O 0.924 0.302 0.530
O 0.911 0.023 0.092
O 0.512 0.209 0.197
O 0.101 0.177 0.093
O 0.077 0.692 0.469
O 0.576 0.693 0.469
O 0.600 0.023 0.592
O 0.822 0.509 0.924
O 0.234 0.307 0.745
O 0.681 0.486 0.363
O 0.154 0.464 0.760
O 0.578 0.693 0.758
O 0.346 0.160 0.743
O 0.271 0.848 0.469
O 0.257 0.639 0.864
O 0.413 0.022 0.091
O 0.063 0.488 0.864
O 0.092 0.976 0.197
O 0.591 0.205 0.698
O 0.087 0.199 0.411
O 0.269 0.691 0.970
O 0.771 0.693 0.969
O 0.257 0.876 0.363
O 0.680 0.875 0.864
O 0.768 0.844 0.760
O 0.986 0.794 0.803
O 0.734 0.309 0.743
O 0.013 0.817 0.697
O 0.410 0.031 0.803
O 0.767 0.692 0.258
O 0.591 0.973 0.198
O 0.821 0.135 0.424
O 0.156 0.844 0.258
O 0.924 0.545 0.030
O 0.819 0.515 0.636
O 0.423 0.542 0.031
O 0.076 0.460 0.970
O 0.397 0.976 0.698
O 0.513 0.198 0.912
O 0.602 0.028 0.303
O 0.846 0.161 0.744
O 0.228 0.152 0.530
O 0.897 0.818 0.198
O 0.066 0.488 0.574
O 0.932 0.508 0.424
O 0.229 0.303 0.031
O 0.654 0.465 0.758
O 0.247 0.357 0.423
O 0.484 0.789 0.803
O 0.079 0.465 0.257
O 0.267 0.689 0.259
O 0.606 0.179 0.803
O 0.911 0.791 0.303
O 0.989 0.174 0.590
O 0.654 0.847 0.970
O 0.433 0.357 0.924
O 0.181 0.485 0.363
O 0.562 0.636 0.363
O 0.653 0.843 0.260
O 0.920 0.532 0.745
O 0.489 0.177 0.592
O 0.242 0.122 0.636
O 0.678 0.490 0.074
O 0.268 0.843 0.758
O 0.728 0.303 0.030
O 0.412 0.801 0.592
O 0.420 0.308 0.243
O 0.067 0.644 0.074
O 0.432 0.507 0.424
O 0.155 0.462 0.469
O 0.346 0.532 0.243
O 0.013 0.202 0.909
O 0.566 0.489 0.573
O 0.396 0.817 0.197
O 0.849 0.154 0.030
O 0.182 0.875 0.864
O 0.091 0.209 0.698
O 0.512 0.822 0.408
O 0.484 0.177 0.303
O 0.103 0.177 0.803
O 0.436 0.513 0.136
O 0.179 0.868 0.573
O 0.846 0.531 0.243
O 0.439 0.365 0.636
O 0.587 0.974 0.912
O 0.154 0.848 0.970
O 0.320 0.126 0.136
O 0.235 0.160 0.241
O 0.013 0.827 0.411
O 0.900 0.974 0.411
O 0.348 0.154 0.030
O 0.913 0.804 0.590
O 0.744 0.123 0.636
O 0.255 0.868 0.075
O 0.932 0.357 0.925
O 0.488 0.802 0.091
O 0.653 0.459 0.469
O 0.911 0.029 0.803
O 0.896 0.974 0.697
O 0.107 0.034 0.303
O 0.576 0.461 0.970
O 0.098 0.021 0.590
O 0.062 0.640 0.363
O 0.848 0.544 0.530
O 0.088 0.974 0.909
O 0.565 0.641 0.076
O 0.900 0.824 0.909
O 0.939 0.362 0.636
O 0.598 0.175 0.090
O 0.985 0.179 0.303
O 0.728 0.153 0.530
O 0.920 0.308 0.242
O 0.411 0.791 0.303
O 0.746 0.356 0.424
S 0.189 0.332 0.082
S 0.976 0.619 0.083
S 0.334 0.619 0.583
S 0.667 0.960 0.915
S 0.020 0.378 0.915
S 0.354 0.714 0.249
S 0.813 0.960 0.415
S 0.999 0.293 0.252
S 0.646 0.999 0.249
S 0.147 0.294 0.749
S 0.691 0.050 0.583
S 0.975 0.325 0.584
S 0.354 0.002 0.752
S 0.475 0.332 0.583
S 0.169 0.960 0.915
S 0.520 0.373 0.915
S 0.688 0.328 0.083
S 0.167 0.375 0.415
S 0.144 0.995 0.252
S 0.670 0.382 0.415
S 0.000 0.706 0.749
S 0.852 0.999 0.748
S 0.837 0.624 0.583
S 0.833 0.049 0.083
S 0.503 0.293 0.250
S 0.521 0.659 0.416
S 0.313 0.666 0.915
S 0.499 0.705 0.752
S 0.188 0.049 0.583
S 0.477 0.627 0.082
S 0.336 0.045 0.082
S 0.811 0.662 0.915
S 0.647 0.293 0.752
S 0.853 0.705 0.253
S 0.310 0.958 0.415
S 0.020 0.666 0.415
Na 0.835 0.333 0.333
Na 0.832 0.331 0.831
Na 0.335 0.336 0.830
Na 0.000 0.000 0.501
Na 0.332 0.333 0.339
Na 0.503 0.004 0.998
Mg 0.999 0.000 0.353
Mg 0.832 0.333 0.186
Mg 0.332 0.331 0.686
Mg 0.168 0.667 0.809
Mg 0.836 0.335 0.483
Mg 0.834 0.336 0.686
Mg 0.501 0.001 0.850
Mg 0.665 0.666 0.809
Mg 0.831 0.331 0.982
Mg 0.000 0.000 0.649
Mg 0.335 0.336 0.979
Mg 0.670 0.674 0.312
Mg 0.505 0.004 0.149
Mg 0.331 0.332 0.484
Mg 0.163 0.659 0.314
Hf 0.502 0.000 0.356
Hf 0.999 0.000 0.851
Hf 0.166 0.668 0.019
Hf 0.667 0.665 0.020
Hf 0.334 0.333 0.187
Hf 0.995 0.997 0.148
Hf 0.500 0.000 0.648
Hf 0.669 0.669 0.524
Hf 0.164 0.664 0.523